GdCl3 | meta-GGA r2SCAN | optimized geometry

a = 7.458 Å, b = 7.458 Å, c = 4.075 Å
α = 90.00°, β = 90.00°, γ = 120.00°
Fractional coordinates of all 8 atoms:
Gd  0.333  0.667  0.250
Gd  0.667  0.333  0.750
Cl  0.090  0.392  0.750
Cl  0.302  0.910  0.750
Cl  0.392  0.302  0.250
Cl  0.608  0.698  0.750
Cl  0.698  0.090  0.250
Cl  0.910  0.608  0.250

Results
The calculation puts the calculated volume at 24.5 Å³ per atom. The uncorrected energy comes out at -143.759 eV for the cell shown. As for the space group: P6_3/m (176).

ZrNCl | meta-GGA r2SCAN | optimized geometry

a = 9.732 Å, b = 9.732 Å, c = 9.732 Å
α = 21.42°, β = 21.42°, γ = 21.42°
Fractional coordinates of all 6 atoms:
Zr  0.121  0.121  0.121
Zr  0.879  0.879  0.879
N  0.197  0.197  0.197
N  0.803  0.803  0.803
Cl  0.391  0.391  0.391
Cl  0.609  0.609  0.609

Results
The calculation puts the calculated volume at 17.9 Å³ per atom. The uncorrected energy comes out at -88.712 eV for the cell shown. As for the space group: R-3m (166).

EuMgTl2 | meta-GGA r2SCAN | optimized geometry

a = 7.567 Å, b = 7.567 Å, c = 7.567 Å
α = 90.00°, β = 90.00°, γ = 90.00°
Fractional coordinates of all 16 atoms:
Eu  0.000  0.000  0.000
Eu  0.000  0.500  0.500
Eu  0.500  0.000  0.500
Eu  0.500  0.500  0.000
Mg  0.000  0.000  0.500
Mg  0.000  0.500  0.000
Mg  0.500  0.000  0.000
Mg  0.500  0.500  0.500
Tl  0.250  0.250  0.250
Tl  0.250  0.250  0.750
Tl  0.250  0.750  0.250
Tl  0.250  0.750  0.750
Tl  0.750  0.250  0.250
Tl  0.750  0.250  0.750
Tl  0.750  0.750  0.250
Tl  0.750  0.750  0.750

Results
The calculation puts the calculated volume at 27.1 Å³ per atom. The uncorrected energy comes out at -602.163 eV for the cell shown. As for the space group: Fm-3m (225).

Ba5Mg18Ge13 | meta-GGA r2SCAN | optimized geometry

a = 14.669 Å, b = 14.669 Å, c = 4.511 Å
α = 90.00°, β = 90.00°, γ = 120.00°
Fractional coordinates of all 36 atoms:
Ba  0.000  0.821  0.000
Ba  0.179  0.179  0.000
Ba  0.333  0.667  0.501
Ba  0.667  0.333  0.501
Ba  0.821  0.000  0.000
Mg  0.000  0.282  0.004
Mg  0.000  0.441  0.508
Mg  0.122  0.639  0.999
Mg  0.178  0.376  0.501
Mg  0.198  0.822  0.501
Mg  0.282  0.000  0.004
Mg  0.361  0.484  0.999
Mg  0.376  0.178  0.501
Mg  0.441  0.000  0.508
Mg  0.484  0.361  0.999
Mg  0.516  0.878  0.999
Mg  0.559  0.559  0.508
Mg  0.624  0.802  0.501
Mg  0.639  0.122  0.999
Mg  0.718  0.718  0.004
Mg  0.802  0.624  0.501
Mg  0.822  0.198  0.501
Mg  0.878  0.516  0.999
Ge  0.000  0.000  0.480
Ge  0.000  0.174  0.505
Ge  0.000  0.629  0.500
Ge  0.168  0.477  0.001
Ge  0.174  0.000  0.505
Ge  0.309  0.832  0.001
Ge  0.371  0.371  0.500
Ge  0.477  0.168  0.001
Ge  0.523  0.691  0.001
Ge  0.629  0.000  0.500
Ge  0.691  0.523  0.001
Ge  0.826  0.826  0.505
Ge  0.832  0.309  0.001

Results
The calculation puts the calculated volume at 23.3 Å³ per atom. The uncorrected energy comes out at -404.552 eV for the cell shown. As for the space group: P31m (157).

Sm3Si2Ru2 | meta-GGA r2SCAN | optimized geometry

a = 5.665 Å, b = 7.722 Å, c = 13.464 Å
α = 90.00°, β = 90.00°, γ = 90.00°
Fractional coordinates of all 28 atoms:
Sm  0.128  0.243  0.250
Sm  0.128  0.257  0.750
Sm  0.354  0.599  0.100
Sm  0.354  0.599  0.400
Sm  0.354  0.901  0.600
Sm  0.354  0.901  0.900
Sm  0.646  0.099  0.100
Sm  0.646  0.099  0.400
Sm  0.646  0.401  0.600
Sm  0.646  0.401  0.900
Sm  0.872  0.743  0.250
Sm  0.872  0.757  0.750
Si  0.099  0.250  0.000
Si  0.099  0.250  0.500
Si  0.355  0.606  0.750
Si  0.355  0.894  0.250
Si  0.645  0.106  0.750
Si  0.645  0.394  0.250
Si  0.901  0.750  0.000
Si  0.901  0.750  0.500
Ru  0.148  0.527  0.590
Ru  0.148  0.527  0.910
Ru  0.148  0.973  0.090
Ru  0.148  0.973  0.410
Ru  0.852  0.027  0.590
Ru  0.852  0.027  0.910
Ru  0.852  0.473  0.090
Ru  0.852  0.473  0.410

Results
The calculation puts the calculated volume at 21.0 Å³ per atom. The uncorrected energy comes out at -650.789 eV for the cell shown. As for the space group: Pbcm (57).

K2PtS15 | meta-GGA r2SCAN | optimized geometry

a = 9.099 Å, b = 9.099 Å, c = 12.592 Å
α = 91.52°, β = 91.52°, γ = 66.24°
Fractional coordinates of all 36 atoms:
K  0.060  0.940  0.500
K  0.237  0.558  0.242
K  0.558  0.237  0.742
K  0.940  0.060  0.000
Pt  0.063  0.492  0.890
Pt  0.492  0.063  0.390
S  0.044  0.068  0.749
S  0.068  0.044  0.249
S  0.081  0.257  0.305
S  0.184  0.443  0.717
S  0.199  0.214  0.940
S  0.214  0.199  0.440
S  0.220  0.640  0.677
S  0.257  0.081  0.805
S  0.300  0.905  0.197
S  0.304  0.507  0.966
S  0.328  0.705  0.914
S  0.418  0.641  0.762
S  0.439  0.836  0.329
S  0.443  0.184  0.217
S  0.507  0.304  0.466
S  0.544  0.964  0.569
S  0.640  0.220  0.177
S  0.641  0.418  0.262
S  0.643  0.722  0.567
S  0.648  0.879  0.024
S  0.691  0.851  0.862
S  0.705  0.328  0.414
S  0.722  0.643  0.067
S  0.772  0.932  0.346
S  0.836  0.439  0.829
S  0.851  0.691  0.362
S  0.879  0.648  0.524
S  0.905  0.300  0.697
S  0.932  0.772  0.846
S  0.964  0.544  0.069

Results
The calculation puts the calculated volume at 26.5 Å³ per atom. The uncorrected energy comes out at -380.191 eV for the cell shown. As for the space group: Cc (9).

YGePd | meta-GGA r2SCAN | optimized geometry

a = 10.443 Å, b = 4.329 Å, c = 7.045 Å
α = 90.00°, β = 132.26°, γ = 90.00°
Fractional coordinates of all 12 atoms:
Y  0.047  0.000  0.307
Y  0.453  0.500  0.693
Y  0.547  0.500  0.307
Y  0.953  0.000  0.693
Ge  0.158  0.500  0.102
Ge  0.342  0.000  0.898
Ge  0.658  0.000  0.102
Ge  0.842  0.500  0.898
Pd  0.178  0.500  0.730
Pd  0.322  0.000  0.270
Pd  0.678  0.000  0.730
Pd  0.822  0.500  0.270

Results
The calculation puts the calculated volume at 19.6 Å³ per atom. The uncorrected energy comes out at -240.212 eV for the cell shown. As for the space group: C2/m (12).

NaAlSi | meta-GGA r2SCAN | optimized geometry

a = 4.110 Å, b = 4.110 Å, c = 7.288 Å
α = 90.00°, β = 90.00°, γ = 90.00°
Fractional coordinates of all 6 atoms:
Na  0.250  0.250  0.138
Na  0.750  0.750  0.862
Al  0.250  0.750  0.500
Al  0.750  0.250  0.500
Si  0.250  0.250  0.708
Si  0.750  0.750  0.292

Results
The calculation puts the calculated volume at 20.5 Å³ per atom. The uncorrected energy comes out at -39.054 eV for the cell shown. As for the space group: P4/nmm (129).

Li5FeO4 | meta-GGA r2SCAN | optimized geometry

a = 9.063 Å, b = 9.114 Å, c = 9.103 Å
α = 90.00°, β = 90.00°, γ = 90.00°
Fractional coordinates of all 80 atoms:
Li  0.104  0.155  0.118
Li  0.104  0.345  0.618
Li  0.107  0.647  0.873
Li  0.107  0.853  0.373
Li  0.125  0.119  0.853
Li  0.125  0.381  0.353
Li  0.143  0.608  0.611
Li  0.143  0.892  0.111
Li  0.161  0.119  0.390
Li  0.161  0.381  0.890
Li  0.339  0.619  0.390
Li  0.339  0.881  0.890
Li  0.357  0.108  0.611
Li  0.357  0.392  0.111
Li  0.375  0.619  0.853
Li  0.375  0.881  0.353
Li  0.393  0.147  0.873
Li  0.393  0.353  0.373
Li  0.396  0.655  0.118
Li  0.396  0.845  0.618
Li  0.604  0.155  0.382
Li  0.604  0.345  0.882
Li  0.607  0.647  0.627
Li  0.607  0.853  0.127
Li  0.625  0.119  0.647
Li  0.625  0.381  0.147
Li  0.643  0.608  0.889
Li  0.643  0.892  0.389
Li  0.661  0.119  0.110
Li  0.661  0.381  0.610
Li  0.839  0.619  0.110
Li  0.839  0.881  0.610
Li  0.857  0.108  0.889
Li  0.857  0.392  0.389
Li  0.875  0.619  0.647
Li  0.875  0.881  0.147
Li  0.893  0.147  0.627
Li  0.893  0.353  0.127
Li  0.896  0.655  0.382
Li  0.896  0.845  0.882
Fe  0.118  0.616  0.147
Fe  0.118  0.884  0.647
Fe  0.382  0.116  0.147
Fe  0.382  0.384  0.647
Fe  0.618  0.616  0.353
Fe  0.618  0.884  0.853
Fe  0.882  0.116  0.353
Fe  0.882  0.384  0.853
O  0.000  0.244  0.468
O  0.000  0.256  0.968
O  0.000  0.744  0.032
O  0.000  0.756  0.532
O  0.019  0.004  0.249
O  0.019  0.496  0.749
O  0.242  0.747  0.248
O  0.242  0.753  0.748
O  0.246  0.534  0.005
O  0.246  0.966  0.505
O  0.254  0.034  0.005
O  0.254  0.466  0.505
O  0.258  0.247  0.248
O  0.258  0.253  0.748
O  0.481  0.504  0.249
O  0.481  0.996  0.749
O  0.500  0.244  0.032
O  0.500  0.256  0.532
O  0.500  0.744  0.468
O  0.500  0.756  0.968
O  0.519  0.004  0.251
O  0.519  0.496  0.751
O  0.742  0.747  0.252
O  0.742  0.753  0.752
O  0.746  0.534  0.495
O  0.746  0.966  0.995
O  0.754  0.034  0.495
O  0.754  0.466  0.995
O  0.758  0.247  0.252
O  0.758  0.253  0.752
O  0.981  0.504  0.251
O  0.981  0.996  0.751

Results
The calculation puts the calculated volume at 9.4 Å³ per atom. The uncorrected energy comes out at -563.777 eV for the cell shown. As for the space group: Pbca (61).

SiO2 | meta-GGA r2SCAN | optimized geometry

a = 13.346 Å, b = 13.346 Å, c = 13.346 Å
α = 92.22°, β = 92.22°, γ = 157.29°
Fractional coordinates of all 48 atoms:
Si  0.000  0.121  0.121
Si  0.000  0.879  0.879
Si  0.121  0.000  0.121
Si  0.226  0.342  0.568
Si  0.226  0.658  0.884
Si  0.281  0.500  0.781
Si  0.342  0.226  0.568
Si  0.342  0.774  0.116
Si  0.500  0.281  0.781
Si  0.500  0.719  0.219
Si  0.658  0.226  0.884
Si  0.658  0.774  0.432
Si  0.719  0.500  0.219
Si  0.774  0.342  0.116
Si  0.774  0.658  0.432
Si  0.879  0.000  0.879
O  0.067  0.567  0.133
O  0.067  0.933  0.500
O  0.071  0.071  0.143
O  0.071  0.929  0.000
O  0.080  0.250  0.830
O  0.231  0.429  0.660
O  0.231  0.571  0.802
O  0.250  0.080  0.830
O  0.250  0.420  0.170
O  0.307  0.307  0.614
O  0.307  0.693  0.000
O  0.420  0.250  0.170
O  0.429  0.231  0.660
O  0.429  0.769  0.198
O  0.433  0.567  0.500
O  0.433  0.933  0.867
O  0.567  0.067  0.133
O  0.567  0.433  0.500
O  0.571  0.231  0.802
O  0.571  0.769  0.340
O  0.580  0.750  0.830
O  0.693  0.307  0.000
O  0.693  0.693  0.386
O  0.750  0.580  0.830
O  0.750  0.920  0.170
O  0.769  0.429  0.198
O  0.769  0.571  0.340
O  0.920  0.750  0.170
O  0.929  0.071  0.000
O  0.929  0.929  0.857
O  0.933  0.067  0.500
O  0.933  0.433  0.867

Results
The calculation puts the calculated volume at 18.7 Å³ per atom. The uncorrected energy comes out at -476.302 eV for the cell shown. As for the space group: I4/mmm (139).

SrMgPb | meta-GGA r2SCAN | optimized geometry

a = 8.272 Å, b = 4.915 Å, c = 8.998 Å
α = 90.00°, β = 90.00°, γ = 90.00°
Fractional coordinates of all 12 atoms:
Sr  0.012  0.250  0.189
Sr  0.488  0.750  0.689
Sr  0.512  0.250  0.311
Sr  0.988  0.750  0.811
Mg  0.146  0.250  0.566
Mg  0.354  0.750  0.066
Mg  0.646  0.250  0.934
Mg  0.854  0.750  0.434
Pb  0.224  0.750  0.392
Pb  0.276  0.250  0.892
Pb  0.724  0.750  0.108
Pb  0.776  0.250  0.608

Results
The calculation puts the calculated volume at 30.5 Å³ per atom. The uncorrected energy comes out at -309.426 eV for the cell shown. As for the space group: Pnma (62).

CeSbIr | meta-GGA r2SCAN | optimized geometry

a = 7.386 Å, b = 4.604 Å, c = 7.909 Å
α = 90.00°, β = 90.00°, γ = 90.00°
Fractional coordinates of all 12 atoms:
Ce  0.015  0.250  0.194
Ce  0.485  0.750  0.694
Ce  0.515  0.250  0.306
Ce  0.985  0.750  0.806
Sb  0.176  0.250  0.587
Sb  0.324  0.750  0.087
Sb  0.676  0.250  0.913
Sb  0.824  0.750  0.413
Ir  0.211  0.750  0.414
Ir  0.289  0.250  0.914
Ir  0.711  0.750  0.086
Ir  0.789  0.250  0.586

Results
The calculation puts the calculated volume at 22.4 Å³ per atom. The uncorrected energy comes out at -447.823 eV for the cell shown. As for the space group: Pnma (62).

What is the formula in the eighth record?
NaAlSi